Record 1
The following is a GGA+U calculation of CaFeSi4O10 after structural relaxation, from Materials Project.

extended XYZ file:
```
64
Lattice="7.476 0.000 0.000 0.000 7.476 0.000 0.000 0.000 15.384" Properties=species:S:1:pos:R:3 pbc="T T T"
O 6.690 5.609 14.116
O 1.858 3.397 9.662
O 1.871 2.952 6.424
O 2.952 1.871 1.268
Si 1.849 5.019 9.971
Si 6.195 1.888 2.279
O 5.609 6.690 8.960
O 4.079 1.858 5.722
O 1.558 1.558 11.538
O 5.618 3.397 1.970
O 5.918 1.558 3.846
Si 6.195 5.587 9.971
O 1.871 4.524 14.116
Si 1.888 1.281 13.105
O 5.295 5.295 3.846
O 4.079 5.618 13.414
O 3.397 5.618 5.722
O 3.397 1.858 13.414
O 7.135 5.596 1.970
O 5.609 0.786 1.268
Si 1.281 1.888 9.971
O 1.558 5.918 3.846
O 4.524 1.871 8.960
O 0.786 5.609 6.424
O 0.341 1.880 1.970
Ca 3.738 3.738 7.692
O 1.858 4.079 1.970
Si 5.626 2.457 9.971
Si 5.587 1.281 5.413
O 2.180 5.295 11.538
Si 2.457 5.626 13.105
O 0.786 1.867 14.116
O 1.880 7.135 13.414
Ca 3.738 3.738 0.000
Si 5.019 1.849 13.105
Si 5.019 5.626 5.413
O 4.524 5.605 1.268
Si 1.888 6.195 5.413
O 5.918 5.918 11.538
O 0.341 5.596 9.662
O 1.867 0.786 8.960
O 1.867 6.690 1.268
O 2.952 5.605 8.960
O 2.180 2.180 3.846
O 5.605 4.524 6.424
Fe 3.738 0.000 1.232
Fe 3.738 0.000 8.925
Fe 0.000 3.738 6.460
Fe 0.000 3.738 14.152
Si 5.626 5.019 2.279
O 5.295 2.180 11.538
O 5.605 2.952 14.116
Si 1.281 5.587 2.279
Si 5.587 6.195 13.105
Si 2.457 1.849 5.413
O 6.690 1.867 6.424
O 7.135 1.880 9.662
O 5.618 4.079 9.662
Si 1.849 2.457 2.279
Ca 0.000 0.000 0.000
O 1.880 0.341 5.722
O 5.596 7.135 5.722
Ca 0.000 0.000 7.692
O 5.596 0.341 13.414
```

Results
DFT formation energy (eV per formula unit): -49.5
Total energy after the MP2020 corrections (eV/atom): -8.1995
Total DFT energy (no corrections) (eV/cell): -488.3

Record 2
The following is a GGA+U calculation of ZnFe2O4 after structural relaxation, from Materials Project.

extended XYZ file:
```
14
Lattice="-1.977 5.449 -1.541 -0.586 -4.598 -3.820 -2.865 -3.134 4.224" Properties=species:S:1:pos:R:3 pbc="T T T"
Fe -2.714 -1.141 -0.568
Zn -2.324 -0.322 -3.982
O -3.425 -3.043 -0.530
O -4.507 -0.292 -1.090
Fe -3.702 1.583 -1.339
O -2.004 0.760 -0.606
O -1.189 -4.073 -1.770
O -2.098 -1.609 -2.461
O -4.239 1.790 0.633
O -0.921 -1.991 -0.047
O -3.330 -0.673 1.324
Fe -2.421 1.158 1.341
Fe -5.135 0.016 0.773
Zn -3.104 -1.961 2.845
```

Results
DFT formation energy (eV per formula unit): -12.1
Total energy after the MP2020 corrections (eV/atom): -7.1575
Total DFT energy (no corrections) (eV/cell): -85.7

Record 3
The following is a GGA+U calculation of LiCo4O8 after structural relaxation, from Materials Project.

extended XYZ file:
```
26
Lattice="-0.011 -3.294 -4.655 -8.572 -1.693 4.664 -2.843 4.955 -0.016" Properties=species:S:1:pos:R:3 pbc="T T T"
O -5.733 -3.504 -1.215
O -7.277 0.720 1.202
Co -8.523 -0.001 -0.024
O -4.152 -0.765 -1.219
Co -7.101 -0.834 2.307
O -5.725 -1.687 1.339
Co -8.519 1.652 2.300
O -8.446 -1.470 1.154
O -5.701 1.644 -1.358
O -1.662 -0.810 -1.172
Co -2.911 -1.685 -2.307
O -7.290 -0.758 -1.233
O -2.977 -0.061 -3.290
Co -1.432 0.830 -2.345
Co -7.137 0.810 -2.338
O -4.142 0.731 1.225
O -9.764 2.573 3.398
O -2.996 1.434 -1.157
Li -4.328 2.447 0.015
O -8.451 0.040 3.286
Co -2.900 -0.030 0.022
O -5.676 3.468 1.206
O -1.660 -2.591 -3.392
O -9.764 0.777 1.167
Co -4.323 0.799 -2.312
Li -7.104 -2.481 -0.021
```

Results
DFT formation energy (eV per formula unit): -16.4
Total energy after the MP2020 corrections (eV/atom): -6.6423
Total DFT energy (no corrections) (eV/cell): -148.6

Record 4
The following is a GGA+U calculation of Li3Co3SbO8 after structural relaxation, from Materials Project.

extended XYZ file:
```
15
Lattice="-7.372 6.254 4.128 -7.009 1.355 7.701 -8.659 6.672 10.019" Properties=species:S:1:pos:R:3 pbc="T T T"
Co -3.686 3.127 2.064
Co -3.504 0.678 3.850
O -9.329 3.274 10.340
Sb 0.000 0.000 0.000
O -6.067 4.797 4.679
O -13.772 8.686 13.375
Co -7.190 3.805 5.915
O -10.051 5.759 11.141
Li -11.520 7.141 10.924
Li -8.016 6.463 7.074
O -9.268 5.595 8.473
O -12.989 8.522 10.708
O -16.973 9.485 17.170
Li -7.834 4.013 8.860
O -13.712 11.007 11.508
```

Results
DFT formation energy (eV per formula unit): -25.9
Total energy after the MP2020 corrections (eV/atom): -6.4470
Total DFT energy (no corrections) (eV/cell): -86.3

Record 5
The following is a GGA+U calculation of Mg2Ni3O8 after structural relaxation, from Materials Project.

extended XYZ file:
```
26
Lattice="0.523 5.251 2.232 -1.710 -0.647 -5.430 -8.730 -0.316 2.788" Properties=species:S:1:pos:R:3 pbc="T T T"
O -6.062 0.415 0.443
Ni -7.230 3.716 0.306
O -7.855 4.465 1.942
Mg -3.875 3.153 0.845
Ni -6.630 1.389 1.923
O -1.071 4.284 1.432
O -6.693 2.861 -1.256
O -3.054 -0.110 0.975
O -1.979 3.940 -1.452
O -3.807 2.074 -0.734
Ni -2.633 0.574 -0.734
Ni -3.233 2.901 -2.350
O -8.086 2.143 0.955
O -4.564 1.787 -3.135
O -7.330 2.429 3.356
O -7.419 -0.268 2.369
O -1.348 1.495 0.246
O -4.038 -0.249 -1.721
Mg -8.985 1.029 -0.315
Mg -0.458 3.276 -0.246
O -2.190 1.274 -2.485
Ni -6.365 4.043 3.051
Ni -3.497 0.247 -3.479
O -6.971 0.071 -2.441
O -5.811 3.083 1.463
Mg -5.568 1.152 -1.406
```

Results
DFT formation energy (eV per formula unit): -18.2
Total energy after the MP2020 corrections (eV/atom): -6.0276
Total DFT energy (no corrections) (eV/cell): -130.5

Record 6
The following is a GGA+U calculation of FeH10S2N4O8 after structural relaxation, from Materials Project.

extended XYZ file:
```
25
Lattice="-3.863 3.672 -0.007 -3.831 -4.330 1.852 3.943 0.355 6.719" Properties=species:S:1:pos:R:3 pbc="T T T"
H -2.862 -1.398 3.044
O -0.746 -1.023 5.411
O -2.399 -2.540 6.381
N -1.657 1.777 5.379
H -2.229 1.779 6.239
H -3.179 -3.324 4.278
O -3.005 0.721 3.153
N -2.093 -2.080 3.186
O -1.351 2.237 2.184
H -5.729 -0.396 3.576
H -0.572 3.021 4.287
O -1.702 0.010 1.235
N -2.637 -3.396 3.409
H -2.245 1.435 4.567
N -1.113 3.093 5.156
S -2.371 1.195 1.883
O -0.319 -2.022 7.594
H -0.888 1.095 5.521
H 1.979 0.094 4.989
O -3.431 1.720 0.971
H -1.522 -2.082 2.325
H -1.506 -1.738 3.998
Fe 0.000 0.000 0.000
S -1.379 -1.498 6.682
O -2.048 -0.313 7.330
```

Results
DFT formation energy (eV per formula unit): -25.2
Total energy after the MP2020 corrections (eV/atom): -5.9517
Total DFT energy (no corrections) (eV/cell): -141.0